[1]
Below is a relaxed NaBrO3 crystal, with properties calculated at the PBE level.

Cell: 7.7493 7.3874 7.5368 Å, 89.70 90.00 90.00°
Closest atoms and distances in Å follow each position.
Fractional positions:
1 O 0.3627 0.3880 0.2176  1 Br 1.79
2 Br 0.6476 0.6310 0.8670  1 O 1.79
3 O 0.8627 0.6120 0.7824  1 Br 1.79
4 O 0.3248 0.9146 0.0318  1 O 1.26
5 O 0.2941 0.7612 0.0990  1 O 1.26
6 Na 0.9603 0.3536 0.6290  5 O 2.34-2.57
7 O 0.6698 0.4098 0.4740  1 O 1.27
8 Br 0.3535 0.1304 0.6368  1 O 1.79
9 O 0.6374 0.8871 0.2815  1 Br 1.79
10 O 0.8248 0.0854 0.9682  1 O 1.26
11 O 0.1698 0.5902 0.5260  1 O 1.27
12 O 0.7941 0.2388 0.9010  1 O 1.26
13 Br 0.1476 0.3690 0.1330  1 O 1.79
14 Br 0.8535 0.8696 0.3632  1 O 1.79
15 O 0.7092 0.2632 0.3965  1 O 1.27
16 O 0.2092 0.7368 0.6035  1 O 1.27
17 Na 0.4603 0.6464 0.3710  5 O 2.34-2.57
18 O 0.1374 0.1129 0.7185  1 Br 1.79
19 Na 0.5393 0.1483 0.1297  5 O 2.34-2.57
20 Na 0.0393 0.8517 0.8703  5 O 2.34-2.57

Results
ΔH_f (0 K)   -394 meV per atom
Magnetization   0.00 μB per atom

=====

[2]
Below is a relaxed Na3BrO crystal, with properties calculated at the PBE level.

Cell: 4.6016 4.6016 4.6016 Å, 90.00 90.00 90.00°
Closest atoms and distances in Å follow each position.
Fractional positions:
1 Na 0.5000 0.5000 0.0000  2 O 2.30
2 O 0.5000 0.5000 0.5000  6 Na 2.30
3 Na 0.5000 0.0000 0.5000  2 O 2.30
4 Br 0.0000 0.0000 0.0000  12 Na 3.25
5 Na 0.0000 0.5000 0.5000  2 O 2.30

Results
ΔH_f (0 K)   -1521 meV per atom

=====

[3]
Below is a relaxed Na2TeBr6O6 crystal, with properties calculated at the PBE level.

Cell: 8.7869 8.7869 7.4385 Å, 68.61 68.61 59.39°
Closest atoms and distances in Å follow each position.
Fractional positions:
1 Br 0.6934 0.0699 0.2344  1 Te 2.65
2 O 0.4403 0.2557 0.7771  1 O 1.24
3 Br 0.1064 0.6119 0.2819  1 O 1.79
4 Br 0.1552 0.0504 0.2195  1 Te 2.71
5 Br 0.9301 0.3066 0.7656  1 Te 2.65
6 O 0.3372 0.5263 0.2925  1 Br 1.79
7 Br 0.3881 0.8936 0.7181  1 O 1.79
8 O 0.3281 0.3755 0.8700  1 O 1.24
9 Br 0.9496 0.8448 0.7805  1 Te 2.71
10 O 0.6245 0.6719 0.1300  1 O 1.24
11 Na 0.3307 0.6693 0.5000  2 O 2.29
12 O 0.4737 0.6628 0.7075  1 Br 1.79
13 Te 0.0221 0.9779 0.0000  4 Br 2.65-2.71
14 O 0.7443 0.5597 0.2229  1 O 1.24
15 Na 0.5402 0.4598 0.0000  2 O 2.30

Results
ΔH_f (0 K)   -492 meV per atom
Magnetization   0.27 μB per atom

=====

[4]
Below is a relaxed Rb2NaTlBr6 crystal, with properties calculated at the PBE level.

Cell: 8.0552 8.0552 8.0552 Å, 60.00 60.00 60.00°
Closest atoms and distances in Å follow each position.
Fractional positions:
1 Rb 0.7500 0.7500 0.7500  12 Br 4.03
2 Br 0.2441 0.2441 0.7559  1 Tl 2.78, 1 Na 2.92
3 Br 0.7559 0.2441 0.2441  1 Tl 2.78, 1 Na 2.92
4 Br 0.2441 0.7559 0.7559  1 Tl 2.78, 1 Na 2.92
5 Na 0.5000 0.5000 0.5000  6 Br 2.92
6 Rb 0.2500 0.2500 0.2500  12 Br 4.03
7 Tl 0.0000 0.0000 0.0000  6 Br 2.78
8 Br 0.2441 0.7559 0.2441  1 Tl 2.78, 1 Na 2.92
9 Br 0.7559 0.2441 0.7559  1 Tl 2.78, 1 Na 2.92
10 Br 0.7559 0.7559 0.2441  1 Tl 2.78, 1 Na 2.92

Results
ΔH_f (0 K)   -1532 meV per atom
Magnetization   0.00 μB per atom

=====

[5]
Below is a relaxed Rb2NaYBr6 crystal, with properties calculated at the PBE level.

Cell: 8.0734 8.0734 8.0734 Å, 60.00 60.00 60.00°
Closest atoms and distances in Å follow each position.
Fractional positions:
1 Br 0.2446 0.7554 0.7554  1 Y 2.79, 1 Na 2.92
2 Y 0.0000 0.0000 0.0000  6 Br 2.79
3 Br 0.7554 0.2446 0.2446  1 Y 2.79, 1 Na 2.92
4 Rb 0.2500 0.2500 0.2500  12 Br 4.04
5 Br 0.7554 0.2446 0.7554  1 Y 2.79, 1 Na 2.92
6 Br 0.7554 0.7554 0.2446  1 Y 2.79, 1 Na 2.92
7 Na 0.5000 0.5000 0.5000  6 Br 2.92
8 Br 0.2446 0.2446 0.7554  1 Y 2.79, 1 Na 2.92
9 Rb 0.7500 0.7500 0.7500  12 Br 4.04
10 Br 0.2446 0.7554 0.2446  1 Y 2.79, 1 Na 2.92

Results
ΔH_f (0 K)   -2121 meV per atom
Magnetization   0.00 μB per atom

=====

[6]
Below is a relaxed Na3SmBr6 crystal, with properties calculated at the PBE level.

Cell: 7.5127 8.0418 31.1044 Å, 94.62 89.96 117.83°
Closest atoms and distances in Å follow each position.
Fractional positions:
1 Br 0.4485 0.5810 0.6756  1 Sm 2.88, 3 Na 3.00-3.12
2 Br 0.5831 0.5615 0.1796  1 Sm 2.86, 3 Na 2.95-3.13
3 Sm 0.9896 0.9850 0.0003  6 Br 2.82-2.92
4 Br 0.1191 0.5075 0.2491  1 Sm 2.93, 3 Na 3.02-3.25
5 Br 0.3199 0.9137 0.8524  1 Sm 2.86, 3 Na 3.01-3.15
6 Na 0.5661 0.1341 0.9387  6 Br 2.97-3.15
7 Br 0.0488 0.7808 0.4756  1 Sm 2.88, 3 Na 2.99-3.12
8 Na 0.2726 0.5372 0.0363  6 Br 2.93-3.15
9 Br 0.9349 0.2447 0.5227  1 Sm 2.88, 3 Na 3.00-3.13
10 Br 0.8912 0.5002 0.7559  1 Sm 2.90, 3 Na 2.97-3.14
11 Na 0.0918 0.1794 0.3001  6 Br 2.96-3.11
12 Br 0.6502 0.9820 0.2762  1 Sm 2.89, 3 Na 2.99-3.12
13 Br 0.1402 0.6135 0.1245  1 Sm 2.85, 3 Na 3.03-3.13
14 Br 0.2198 0.7910 0.9780  1 Sm 2.87, 3 Na 3.00-3.12
15 Br 0.2555 0.1809 0.0757  3 Na 2.89-3.15, 1 Sm 2.91
16 Br 0.2873 0.2968 0.9559  1 Sm 2.92, 3 Na 2.97-3.07
17 Na 0.2915 0.5800 0.8993  6 Br 2.98-3.08
18 Sm 0.7942 0.5887 0.3995  6 Br 2.86-2.90
19 Br 0.7104 0.7074 0.0498  1 Sm 2.82, 2 Na 2.92-2.93
20 Sm 0.5942 0.1888 0.7995  6 Br 2.86-2.90
21 Na 0.7664 0.5331 0.5385  6 Br 2.97-3.15
22 Na 0.6661 0.3385 0.2397  6 Br 2.95-3.13
23 Na 0.8914 0.7808 0.6992  6 Br 2.97-3.07
24 Br 0.4910 0.7005 0.5560  1 Sm 2.90, 3 Na 2.97-3.14
25 Br 0.0917 0.8989 0.3560  1 Sm 2.90, 3 Na 2.96-3.15
26 Na 0.1665 0.3331 0.7385  6 Br 2.97-3.15
27 Br 0.5194 0.3135 0.4524  1 Sm 2.86, 3 Na 3.01-3.15
28 Br 0.7363 0.8469 0.9229  1 Sm 2.87, 3 Na 3.00-3.13
29 Na 0.6958 0.4009 0.0968  6 Br 2.92-3.08
30 Br 0.5347 0.4458 0.3232  1 Sm 2.87, 3 Na 2.98-3.11
31 Br 0.0193 0.3897 0.3774  1 Sm 2.87, 3 Na 3.02-3.12
32 Na 0.4911 0.9809 0.4993  6 Br 2.97-3.07
33 Br 0.3352 0.0447 0.7227  1 Sm 2.88, 3 Na 3.00-3.13
34 Na 0.3686 0.7338 0.3387  6 Br 2.96-3.25
35 Br 0.8487 0.3814 0.8756  1 Sm 2.88, 3 Na 3.00-3.12
36 Br 0.6927 0.1107 0.1557  1 Sm 2.85, 3 Na 2.95-3.13
37 Br 0.8217 0.2392 0.0200  1 Sm 2.89, 3 Na 2.99-3.12
38 Br 0.4191 0.1894 0.5775  1 Sm 2.87, 3 Na 3.03-3.12
39 Br 0.6207 0.8384 0.4195  1 Sm 2.89, 3 Na 2.96-3.12
40 Sm 0.4035 0.8025 0.1981  6 Br 2.85-2.93
41 Br 0.9196 0.1136 0.6523  1 Sm 2.86, 3 Na 3.01-3.15
42 Br 0.4199 0.4377 0.8193  1 Sm 2.89, 3 Na 2.97-3.13
43 Br 0.0197 0.6376 0.6192  1 Sm 2.89, 3 Na 2.97-3.13
44 Na 0.1339 0.2576 0.1598  5 Br 2.89-3.13
45 Na 0.0692 0.1390 0.4389  6 Br 3.00-3.15
46 Na 0.8695 0.7394 0.8388  6 Br 3.00-3.14
47 Sm 0.1941 0.3888 0.5994  6 Br 2.86-2.90
48 Br 0.8190 0.9895 0.7774  1 Sm 2.87, 3 Na 3.03-3.12
49 Na 0.4692 0.9390 0.6388  6 Br 3.00-3.14
50 Br 0.2156 0.0372 0.2210  1 Sm 2.89, 3 Na 2.95-3.13

Results
ΔH_f (0 K)   -2025 meV per atom
Magnetization   0.00 μB per atom

=====

[7]
Below is a relaxed Na3TbBr6 crystal, with properties calculated at the PBE level.

Cell: 7.7398 7.3823 13.1694 Å, 56.67 90.00 90.00°
Closest atoms and distances in Å follow each position.
Fractional positions:
1 Na 0.4337 0.7282 0.2583  4 Br 2.98-3.02
2 Na 0.5663 0.2718 0.7417  4 Br 2.98-3.02
3 Br 0.0714 0.8991 0.2376  1 Tb 2.84, 3 Na 2.98-3.12
4 Br 0.3076 0.2440 0.9214  1 Tb 2.82, 2 Na 3.00-3.02
5 Br 0.4286 0.8991 0.7376  1 Tb 2.84, 3 Na 2.98-3.12
6 Br 0.8076 0.7560 0.5786  1 Tb 2.82, 2 Na 3.00-3.02
7 Na 0.5000 0.5000 0.0000  6 Br 2.92-3.12
8 Br 0.9286 0.1009 0.7624  1 Tb 2.84, 3 Na 2.98-3.12
9 Tb 0.0000 0.0000 0.0000  6 Br 2.81-2.84
10 Br 0.6782 0.3819 0.4344  1 Tb 2.81, 2 Na 2.92-3.00
11 Br 0.8218 0.3819 0.9344  1 Tb 2.81, 2 Na 2.92-3.00
12 Tb 0.5000 0.0000 0.5000  6 Br 2.81-2.84
13 Br 0.3218 0.6181 0.5656  1 Tb 2.81, 2 Na 2.92-3.00
14 Br 0.5714 0.1009 0.2624  1 Tb 2.84, 3 Na 2.98-3.12
15 Br 0.1924 0.2440 0.4214  1 Tb 2.82, 2 Na 3.00-3.02
16 Br 0.6924 0.7560 0.0786  1 Tb 2.82, 2 Na 3.00-3.02
17 Br 0.1782 0.6181 0.0656  1 Tb 2.81, 2 Na 2.92-3.00
18 Na 0.9337 0.2718 0.2417  4 Br 2.98-3.02
19 Na 0.0663 0.7282 0.7583  4 Br 2.98-3.02
20 Na 0.0000 0.5000 0.5000  6 Br 2.92-3.12

Results
ΔH_f (0 K)   -2017 meV per atom

=====

[8]
Below is a relaxed Na3TmBr6 crystal, with properties calculated at the PBE level.

Cell: 7.7099 7.3750 13.1542 Å, 55.91 90.00 90.00°
Closest atoms and distances in Å follow each position.
Fractional positions:
1 Na 0.5000 0.5000 0.0000  6 Br 2.93-3.07
2 Na 0.5620 0.2705 0.7443  4 Br 2.99-3.08
3 Br 0.5656 0.1039 0.2635  1 Tm 2.80, 3 Na 2.99-3.08
4 Na 0.9380 0.2705 0.2443  4 Br 2.99-3.08
5 Br 0.3035 0.2446 0.9230  1 Tm 2.78, 2 Na 3.00-3.01
6 Br 0.6965 0.7554 0.0770  1 Tm 2.78, 2 Na 3.00-3.01
7 Tm 0.0000 0.0000 0.0000  6 Br 2.76-2.80
8 Tm 0.5000 0.0000 0.5000  6 Br 2.76-2.80
9 Br 0.9344 0.1039 0.7635  1 Tm 2.80, 3 Na 2.99-3.08
10 Br 0.1965 0.2446 0.4230  1 Tm 2.78, 2 Na 3.00-3.01
11 Na 0.0620 0.7295 0.7557  4 Br 2.99-3.08
12 Br 0.4344 0.8961 0.7365  1 Tm 2.80, 3 Na 2.99-3.08
13 Br 0.1786 0.6259 0.0633  1 Tm 2.76, 2 Na 2.93-3.00
14 Br 0.6786 0.3741 0.4367  1 Tm 2.76, 2 Na 2.93-3.00
15 Br 0.8035 0.7554 0.5770  1 Tm 2.78, 2 Na 3.00-3.01
16 Br 0.0656 0.8961 0.2365  1 Tm 2.80, 3 Na 2.99-3.08
17 Na 0.4380 0.7295 0.2557  4 Br 2.99-3.08
18 Br 0.8214 0.3741 0.9367  1 Tm 2.76, 2 Na 2.93-3.00
19 Na 0.0000 0.5000 0.5000  6 Br 2.93-3.07
20 Br 0.3214 0.6259 0.5633  1 Tm 2.76, 2 Na 2.93-3.00

Results
ΔH_f (0 K)   -2013 meV per atom

=====

Q: Which value of ΔH_f (0 K) does entry 1 give?
A: -394 meV per atom

=====

Q: What is the ΔH_f (0 K) in the seventh record?
A: -2017 meV per atom

=====

Q: What is the ΔH_f (0 K) in the fifth record?
A: -2121 meV per atom